No. 1
DFT (GGA-PBE) results for a geometry-optimized Ti7B8Ir2Rh4 structure.

a = 9.2649 Å, b = 3.1993 Å, c = 9.2694 Å
α = 90.00°, β = 119.93°, γ = 90.00°
Element x y z (fractional)
1 Ti 0.0000 0.0000 0.0000
2 Ti 0.0855 0.0000 0.3615
3 Ti 0.2738 0.0000 0.9137
4 Ti 0.3601 0.0000 0.2750
5 Ti 0.4457 0.0000 0.6363
6 Ti 0.6358 0.0000 0.1904
7 Ti 0.7215 0.0000 0.5505
8 B 0.0271 0.0000 0.6085
9 B 0.1428 0.5000 0.2114
10 B 0.2070 0.5000 0.0581
11 B 0.2966 0.5000 0.4284
12 B 0.4242 0.5000 0.1217
13 B 0.5133 0.5000 0.4918
14 B 0.5773 0.5000 0.3391
15 B 0.6935 0.0000 0.9420
16 Ir 0.5150 0.5000 0.9218
17 Ir 0.8530 0.5000 0.1203
18 Rh 0.0064 0.5000 0.7660
19 Rh 0.2049 0.5000 0.6289
20 Rh 0.7135 0.5000 0.7828
21 Rh 0.8697 0.5000 0.4312

Results
The value obtained for the density is 8491 kg/m3. For the formation energy, the calculation gives -0.866 eV per atom. The calculation puts the spin magnetization at 0.0 μB/cell. As for the space group: Pm.

No. 2
DFT (GGA-PBE) results for a geometry-optimized SrMg14C structure.

a = 6.4889 Å, b = 6.4889 Å, c = 10.1573 Å
α = 90.00°, β = 90.00°, γ = 120.00°
Element x y z (fractional)
1 Sr 0.0000 0.0000 0.0000
2 Mg 0.0161 0.5080 0.0000
3 Mg 0.1594 0.3187 0.2820
4 Mg 0.1594 0.3187 0.7180
5 Mg 0.1594 0.8406 0.2820
6 Mg 0.1594 0.8406 0.7180
7 Mg 0.4920 0.5080 0.0000
8 Mg 0.4920 0.9839 0.0000
9 Mg 0.5088 0.0176 0.5000
10 Mg 0.5088 0.4912 0.5000
11 Mg 0.6667 0.3333 0.2385
12 Mg 0.6667 0.3333 0.7615
13 Mg 0.6813 0.8406 0.2820
14 Mg 0.6813 0.8406 0.7180
15 Mg 0.9824 0.4912 0.5000
16 C 0.0000 0.0000 0.5000

Results
The value obtained for the density is 1972 kg/m3. The calculation puts the energy above the most stable polymorph in this dataset at 0.087 eV/atom. For the formation energy, the calculation gives 0.327 eV per atom. The calculation puts the spin magnetization at 0.0 μB/cell. As for the space group: P-6m2.